Entry from the Materials Project: crystalline TmSiPt at its relaxed geometry (PBE).

Cell lengths 4.2710, 6.9223, 7.4299 Å; angles 90.00, 90.00, 90.00 degrees
Fractional positions:
Tm1 0.2500 0.4974 0.7002
Tm2 0.2500 0.9974 0.7998
Tm3 0.7500 0.5026 0.2998
Tm4 0.7500 0.0026 0.2002
Si1 0.2500 0.8146 0.4117
Si2 0.2500 0.3146 0.0883
Si3 0.7500 0.1854 0.5883
Si4 0.7500 0.6854 0.9117
Pt1 0.2500 0.2019 0.4142
Pt2 0.2500 0.7019 0.0858
Pt3 0.7500 0.7981 0.5858
Pt4 0.7500 0.2981 0.9142

formation enthalpy at 0 K = -1210 meV per atom